Record 1
r²SCAN BaHg11, optimized geometry; symmetry = Pm-3m (221); energy of formation from the pure elements = -3.98 kcal/mol of atoms; total DFT energy (no corrections) = -47.63 eV per atom; magnetic moment = 0.00 μB per cell
1.0
9.996 0.000 0.000
0.000 9.996 0.000
0.000 0.000 9.996
Ba Hg
3 33
direct
0.000 0.000 0.500
0.000 0.500 0.000
0.500 0.000 0.000
0.000 0.345 0.345
0.000 0.345 0.655
0.000 0.655 0.345
0.000 0.655 0.655
0.153 0.153 0.153
0.153 0.153 0.847
0.153 0.847 0.153
0.153 0.847 0.847
0.267 0.267 0.500
0.267 0.500 0.267
0.267 0.500 0.733
0.267 0.733 0.500
0.345 0.000 0.345
0.345 0.000 0.655
0.345 0.345 0.000
0.345 0.655 0.000
0.500 0.267 0.267
0.500 0.267 0.733
0.500 0.500 0.500
0.500 0.733 0.267
0.500 0.733 0.733
0.655 0.000 0.345
0.655 0.000 0.655
0.655 0.345 0.000
0.655 0.655 0.000
0.733 0.267 0.500
0.733 0.500 0.267
0.733 0.500 0.733
0.733 0.733 0.500
0.847 0.153 0.153
0.847 0.153 0.847
0.847 0.847 0.153
0.847 0.847 0.847

---

Record 2
r²SCAN Ba2InHg, optimized geometry; symmetry = Fm-3m (225); energy of formation from the pure elements = -11.89 kcal/mol of atoms; total DFT energy (no corrections) = -31.75 eV per atom; magnetic moment = 0.00 μB per cell
1.0
0.000 4.235 4.235
4.235 0.000 4.235
4.235 4.235 0.000
Ba In Hg
2 1 1
direct
0.250 0.250 0.250
0.750 0.750 0.750
0.000 0.000 0.000
0.500 0.500 0.500

---

Record 3
r²SCAN Ba2HgPb, optimized geometry; symmetry = Fm-3m (225); energy of formation from the pure elements = -15.79 kcal/mol of atoms; total DFT energy (no corrections) = -40.35 eV per atom; magnetic moment = 0.00 μB per cell
1.0
0.000 4.260 4.260
4.260 0.000 4.260
4.260 4.260 0.000
Ba Hg Pb
2 1 1
direct
0.250 0.250 0.250
0.750 0.750 0.750
0.000 0.000 0.000
0.500 0.500 0.500

---

Record 4
r²SCAN BaHg2Pb, optimized geometry; symmetry = Fm-3m (225); energy of formation from the pure elements = -10.77 kcal/mol of atoms; total DFT energy (no corrections) = -45.85 eV per atom; magnetic moment = 0.00 μB per cell
1.0
0.000 3.950 3.950
3.950 0.000 3.950
3.950 3.950 0.000
Ba Hg Pb
1 2 1
direct
0.000 0.000 0.000
0.250 0.250 0.250
0.750 0.750 0.750
0.500 0.500 0.500

---

> Number 3 is which compound?

Ba2HgPb

---

> What is the formula in the second record?

Ba2InHg

---

> Which of these has the highest energy of formation from the pure elements?

BaHg11